Arrangement A

## MgSn4O8 (PBE-GGA)

Data for a relaxed MgSn4O8 crystal.

Unit cell a=8.069 b=8.069 c=9.822 alpha=126.89 beta=126.89 gamma=23.06
Fractional positions:
Mg 0.000 0.000 0.000
Sn 0.208 0.208 0.009
Sn 0.458 0.458 0.641
Sn 0.680 0.680 0.369
Sn 0.975 0.975 0.308
O 0.058 0.058 0.704
O 0.146 0.146 0.472
O 0.165 0.165 0.217
O 0.445 0.445 0.404
O 0.481 0.481 0.869
O 0.505 0.505 0.185
O 0.822 0.822 0.080
O 0.843 0.843 0.533


Arrangement B

## MgSn4O8 (PBE-GGA)

Data for a relaxed MgSn4O8 crystal.

Unit cell a=6.341 b=6.341 c=6.341 alpha=62.99 beta=62.99 gamma=62.99
Fractional positions:
Mg 0.000 0.000 0.000
Sn 0.000 0.000 0.500
Sn 0.000 0.500 0.000
Sn 0.500 0.000 0.000
Sn 0.500 0.500 0.500
O 0.197 0.764 0.764
O 0.236 0.236 0.236
O 0.236 0.236 0.803
O 0.236 0.803 0.236
O 0.764 0.197 0.764
O 0.764 0.764 0.197
O 0.764 0.764 0.764
O 0.803 0.236 0.236


Least stable = arrangement B


Arrangement A

## MgSn2O5 (PBE-GGA)

Data for a relaxed MgSn2O5 crystal.

Unit cell a=5.607 b=5.607 c=10.354 alpha=90.00 beta=90.00 gamma=138.24
Fractional positions:
Mg 0.184 0.816 0.750
Mg 0.816 0.184 0.250
Sn 0.136 0.864 0.067
Sn 0.136 0.864 0.433
Sn 0.864 0.136 0.567
Sn 0.864 0.136 0.933
O 0.051 0.949 0.614
O 0.051 0.949 0.886
O 0.228 0.772 0.250
O 0.303 0.697 0.566
O 0.303 0.697 0.934
O 0.697 0.303 0.066
O 0.697 0.303 0.434
O 0.772 0.228 0.750
O 0.949 0.051 0.114
O 0.949 0.051 0.386


Arrangement B

## MgSn2O5 (PBE-GGA)

Data for a relaxed MgSn2O5 crystal.

Unit cell a=3.419 b=5.198 c=13.119 alpha=90.00 beta=104.41 gamma=90.00
Fractional positions:
Mg 0.000 0.104 0.250
Mg 0.000 0.896 0.750
Sn 0.349 0.399 0.606
Sn 0.349 0.601 0.106
Sn 0.651 0.399 0.894
Sn 0.651 0.601 0.394
O 0.186 0.409 0.432
O 0.186 0.591 0.932
O 0.382 0.039 0.646
O 0.382 0.961 0.146
O 0.500 0.412 0.250
O 0.500 0.588 0.750
O 0.618 0.039 0.854
O 0.618 0.961 0.354
O 0.814 0.409 0.068
O 0.814 0.591 0.568


Least stable = arrangement B


Arrangement A

## SrMg14SnO16 (PBE-GGA)

Data for a relaxed SrMg14SnO16 crystal.

Unit cell a=4.475 b=8.773 c=8.907 alpha=90.00 beta=90.00 gamma=90.00
Fractional positions:
Sr 0.000 0.000 0.000
Mg 0.000 0.261 0.251
Mg 0.000 0.261 0.749
Mg 0.000 0.500 0.000
Mg 0.000 0.500 0.500
Mg 0.000 0.739 0.251
Mg 0.000 0.739 0.749
Mg 0.500 0.000 0.251
Mg 0.500 0.000 0.749
Mg 0.500 0.260 0.500
Mg 0.500 0.261 0.000
Mg 0.500 0.500 0.250
Mg 0.500 0.500 0.750
Mg 0.500 0.739 0.000
Mg 0.500 0.740 0.500
Sn 0.000 0.000 0.500
O 0.000 0.000 0.253
O 0.000 0.000 0.747
O 0.000 0.273 0.000
O 0.000 0.274 0.500
O 0.000 0.500 0.250
O 0.000 0.500 0.750
O 0.000 0.726 0.500
O 0.000 0.727 0.000
O 0.500 0.000 0.000
O 0.500 0.000 0.500
O 0.500 0.251 0.250
O 0.500 0.251 0.750
O 0.500 0.500 0.000
O 0.500 0.500 0.500
O 0.500 0.749 0.250
O 0.500 0.749 0.750


Arrangement B

## SrMg14SnO16 (PBE-GGA)

Data for a relaxed SrMg14SnO16 crystal.

Unit cell a=8.805 b=8.805 c=4.484 alpha=90.00 beta=90.00 gamma=90.00
Fractional positions:
Sr 0.000 0.000 0.000
Mg 0.000 0.259 0.500
Mg 0.000 0.500 0.000
Mg 0.000 0.741 0.500
Mg 0.242 0.500 0.500
Mg 0.251 0.251 0.000
Mg 0.251 0.749 0.000
Mg 0.259 0.000 0.500
Mg 0.500 0.000 0.000
Mg 0.500 0.242 0.500
Mg 0.500 0.758 0.500
Mg 0.741 0.000 0.500
Mg 0.749 0.251 0.000
Mg 0.749 0.749 0.000
Mg 0.758 0.500 0.500
Sn 0.500 0.500 0.000
O 0.000 0.000 0.500
O 0.000 0.269 0.000
O 0.000 0.500 0.500
O 0.000 0.731 0.000
O 0.232 0.500 0.000
O 0.250 0.250 0.500
O 0.250 0.750 0.500
O 0.269 0.000 0.000
O 0.500 0.000 0.500
O 0.500 0.232 0.000
O 0.500 0.500 0.500
O 0.500 0.768 0.000
O 0.731 0.000 0.000
O 0.750 0.250 0.500
O 0.750 0.750 0.500
O 0.768 0.500 0.000


Least stable = arrangement A


Arrangement A

## SrMg6SnO8 (PBE-GGA)

Data for a relaxed SrMg6SnO8 crystal.

Unit cell a=4.626 b=4.626 c=9.076 alpha=90.00 beta=90.00 gamma=90.00
Fractional positions:
Sr 0.000 0.000 0.000
Mg 0.000 0.000 0.500
Mg 0.000 0.500 0.273
Mg 0.000 0.500 0.727
Mg 0.500 0.000 0.273
Mg 0.500 0.000 0.727
Mg 0.500 0.500 0.500
Sn 0.500 0.500 0.000
O 0.000 0.000 0.275
O 0.000 0.000 0.725
O 0.000 0.500 0.000
O 0.000 0.500 0.500
O 0.500 0.000 0.000
O 0.500 0.000 0.500
O 0.500 0.500 0.277
O 0.500 0.500 0.723


Arrangement B

## SrMg6SnO8 (PBE-GGA)

Data for a relaxed SrMg6SnO8 crystal.

Unit cell a=4.614 b=4.614 c=9.165 alpha=90.00 beta=90.00 gamma=90.00
Fractional positions:
Sr 0.000 0.000 0.000
Mg 0.000 0.500 0.250
Mg 0.000 0.500 0.750
Mg 0.500 0.000 0.250
Mg 0.500 0.000 0.750
Mg 0.500 0.500 0.000
Mg 0.500 0.500 0.500
Sn 0.000 0.000 0.500
O 0.000 0.000 0.254
O 0.000 0.000 0.746
O 0.000 0.500 0.000
O 0.000 0.500 0.500
O 0.500 0.000 0.000
O 0.500 0.000 0.500
O 0.500 0.500 0.251
O 0.500 0.500 0.749


Least stable = arrangement B